Entry from Materials Project: a geometry-optimized FeCoSi structure (PBE).

* calculated total energy: -88.59 eV per cell
* size of the total moment: 2.40 μB per formula unit
* theoretical density: 7.208 Mg/m³

a = 4.887 Å, b = 3.781 Å, c = 7.126 Å
α = 90.00°, β = 90.00°, γ = 90.00°
Fractional coordinates of all 12 atoms:
Fe1 0.044 0.250 0.226
Fe2 0.456 0.750 0.726
Fe3 0.544 0.250 0.274
Fe4 0.956 0.750 0.774
Co1 0.178 0.250 0.564
Co2 0.322 0.750 0.064
Co3 0.678 0.250 0.936
Co4 0.822 0.750 0.436
Si1 0.208 0.250 0.894
Si2 0.292 0.750 0.394
Si3 0.708 0.250 0.606
Si4 0.792 0.750 0.106



Entry from Materials Project: a geometry-optimized Ta2InS4 structure (PBE).

* calculated total energy: -49.80 eV per cell
* theoretical density: 6.388 Mg/m³

a = 8.693 Å, b = 8.693 Å, c = 8.693 Å
α = 157.61°, β = 45.48°, γ = 140.94°
Fractional coordinates of all 7 atoms:
Ta1 0.249 0.000 0.249
Ta2 0.751 0.000 0.751
In1 0.494 0.994 0.500
S1 0.015 0.668 0.348
S2 0.320 0.668 0.652
S3 0.514 0.668 0.847
S4 0.821 0.668 0.153



Entry from Materials Project: a geometry-optimized EuDyTi2O7 structure (PBE).

* calculated total energy: -199.93 eV per cell
* size of the total moment: 6.00 μB per formula unit
* theoretical density: 6.440 Mg/m³

a = 7.250 Å, b = 7.250 Å, c = 7.250 Å
α = 120.24°, β = 119.84°, γ = 89.93°
Fractional coordinates of all 22 atoms:
Eu1 0.500 0.000 0.000
Eu2 0.500 0.500 0.500
Dy1 0.000 0.000 0.000
Dy2 0.500 0.000 0.500
Ti1 0.000 0.000 0.500
Ti2 0.000 0.500 0.000
Ti3 0.000 0.500 0.500
Ti4 0.500 0.500 0.000
O1 0.075 0.419 0.247
O2 0.075 0.828 0.655
O3 0.079 0.829 0.250
O4 0.326 0.576 0.750
O5 0.327 0.172 0.747
O6 0.327 0.581 0.155
O7 0.369 0.119 0.250
O8 0.631 0.881 0.750
O9 0.673 0.419 0.845
O10 0.673 0.828 0.253
O11 0.674 0.424 0.250
O12 0.921 0.171 0.750
O13 0.925 0.172 0.345
O14 0.925 0.581 0.753



Entry from Materials Project: a geometry-optimized Li5AgF8 structure (PBE).

* calculated total energy: -60.72 eV per cell
* size of the total moment: 2.00 μB per formula unit
* theoretical density: 3.138 Mg/m³

a = 6.111 Å, b = 6.111 Å, c = 6.111 Å
α = 58.50°, β = 58.50°, γ = 58.50°
Fractional coordinates of all 14 atoms:
Li1 0.000 0.500 0.500
Li2 0.141 0.141 0.141
Li3 0.500 0.000 0.500
Li4 0.500 0.500 0.000
Li5 0.859 0.859 0.859
Ag1 0.500 0.500 0.500
F1 0.253 0.253 0.742
F2 0.253 0.742 0.253
F3 0.258 0.747 0.747
F4 0.266 0.266 0.266
F5 0.734 0.734 0.734
F6 0.742 0.253 0.253
F7 0.747 0.258 0.747
F8 0.747 0.747 0.258



Entry from Materials Project: a geometry-optimized Na5Zr2Si3Ge2P3O24 structure (PBE).

* calculated total energy: -831.82 eV per cell
* size of the total moment: 0.00 μB per formula unit
* theoretical density: 3.281 Mg/m³

a = 8.871 Å, b = 8.873 Å, c = 22.358 Å
α = 89.63°, β = 89.82°, γ = 60.02°
Fractional coordinates of all 117 atoms:
Na1 0.000 0.000 0.000
Na2 0.000 0.365 0.495
Na3 0.027 0.674 0.580
Na4 0.032 0.040 0.328
Na5 0.035 0.664 0.084
Na6 0.064 0.974 0.663
Na7 0.333 0.335 0.667
Na8 0.363 0.007 0.243
Na9 0.366 0.000 0.751
Na10 0.372 0.370 0.997
Na11 0.671 0.033 0.831
Na12 0.689 0.353 0.410
Na13 0.699 0.351 0.913
Na14 0.700 0.968 0.162
Na15 0.734 0.999 0.499
Zr1 0.029 0.664 0.732
Zr2 0.034 0.667 0.934
Zr3 0.037 0.666 0.428
Zr4 0.367 0.003 0.389
Zr5 0.375 0.994 0.602
Zr6 0.703 0.340 0.561
Si1 0.023 0.386 0.323
Si2 0.076 0.997 0.497
Si3 0.340 0.363 0.832
Si4 0.381 0.715 0.999
Si5 0.646 0.006 0.002
Si6 0.661 0.708 0.495
Si7 0.702 0.046 0.667
Si8 0.986 0.339 0.668
Si9 0.994 0.048 0.163
Ge1 0.044 0.666 0.226
Ge2 0.360 0.995 0.099
Ge3 0.370 0.003 0.898
Ge4 0.697 0.337 0.063
Ge5 0.698 0.335 0.767
Ge6 0.707 0.339 0.262
P1 0.039 0.973 0.831
P2 0.082 0.280 0.000
P3 0.334 0.656 0.323
P4 0.367 0.296 0.497
P5 0.412 0.339 0.164
P6 0.415 0.622 0.668
P7 0.701 0.620 0.163
P8 0.728 0.666 0.832
P9 0.745 0.966 0.323
O1 0.005 0.852 0.172
O2 0.019 0.504 0.670
O3 0.048 0.831 0.492
O4 0.060 0.486 0.268
O5 0.066 0.462 0.993
O6 0.067 0.861 0.775
O7 0.158 0.038 0.438
O8 0.160 0.166 0.943
O9 0.176 0.163 0.665
O10 0.185 0.975 0.558
O11 0.188 0.029 0.155
O12 0.192 0.189 0.327
O13 0.202 0.473 0.491
O14 0.202 0.703 0.271
O15 0.204 0.202 0.055
O16 0.204 0.987 0.840
O17 0.207 0.691 0.992
O18 0.222 0.446 0.772
O19 0.229 0.505 0.171
O20 0.232 0.644 0.673
O21 0.250 0.485 0.890
O22 0.256 0.628 0.381
O23 0.325 0.846 0.056
O24 0.335 0.218 0.555
O25 0.344 0.824 0.329
O26 0.360 0.167 0.840
O27 0.392 0.805 0.664
O28 0.397 0.179 0.443
O29 0.400 0.171 0.159
O30 0.404 0.808 0.938
O31 0.488 0.513 0.612
O32 0.490 0.372 0.106
O33 0.513 0.491 0.315
O34 0.524 0.037 0.665
O35 0.527 0.046 0.940
O36 0.531 0.310 0.501
O37 0.531 0.533 0.723
O38 0.535 0.343 0.824
O39 0.538 0.302 0.218
O40 0.538 0.809 0.157
O41 0.543 0.804 0.437
O42 0.549 0.515 0.008
O43 0.551 0.837 0.839
O44 0.555 0.978 0.061
O45 0.566 0.983 0.329
O46 0.580 0.831 0.553
O47 0.666 0.173 0.725
O48 0.666 0.540 0.219
O49 0.669 0.182 0.007
O50 0.685 0.516 0.497
O51 0.716 0.501 0.823
O52 0.730 0.148 0.318
O53 0.732 0.125 0.605
O54 0.733 0.503 0.107
O55 0.809 0.708 0.777
O56 0.837 0.845 0.269
O57 0.844 0.840 0.995
O58 0.848 0.636 0.886
O59 0.850 0.360 0.318
O60 0.854 0.687 0.491
O61 0.856 0.890 0.381
O62 0.862 0.134 0.104
O63 0.863 0.647 0.169
O64 0.868 0.151 0.825
O65 0.880 0.860 0.671
O66 0.882 0.170 0.499
O67 0.882 0.370 0.605
O68 0.887 0.304 0.723
O69 0.900 0.298 0.007
O70 0.903 0.166 0.223
O71 0.995 0.488 0.387
O72 0.999 0.888 0.886



Entry from Materials Project: a geometry-optimized LaSbSe structure (PBE).

* calculated total energy: -68.40 eV per cell
* size of the total moment: 0.00 μB per formula unit
* theoretical density: 6.584 Mg/m³

a = 4.281 Å, b = 18.584 Å, c = 6.069 Å
α = 90.00°, β = 134.81°, γ = 90.00°
Fractional coordinates of all 12 atoms:
La1 0.024 0.149 0.269
La2 0.024 0.351 0.769
La3 0.976 0.649 0.231
La4 0.976 0.851 0.731
Sb1 0.475 0.502 0.726
Sb2 0.475 0.998 0.226
Sb3 0.525 0.002 0.774
Sb4 0.525 0.498 0.274
Se1 0.024 0.185 0.766
Se2 0.024 0.315 0.266
Se3 0.976 0.685 0.734
Se4 0.976 0.815 0.234



Entry from Materials Project: a geometry-optimized K2CuMoCl6 structure (PBE).

* calculated total energy: -39.94 eV per cell
* size of the total moment: 3.00 μB per formula unit
* theoretical density: 2.990 Mg/m³

a = 7.072 Å, b = 7.072 Å, c = 7.072 Å
α = 60.00°, β = 60.00°, γ = 60.00°
Fractional coordinates of all 10 atoms:
K1 0.250 0.250 0.250
K2 0.750 0.750 0.750
Cu1 0.000 0.000 0.000
Mo1 0.500 0.500 0.500
Cl1 0.252 0.252 0.748
Cl2 0.252 0.748 0.252
Cl3 0.252 0.748 0.748
Cl4 0.748 0.252 0.252
Cl5 0.748 0.252 0.748
Cl6 0.748 0.748 0.252



Entry from Materials Project: a geometry-optimized CaW2N2 structure (PBE).

* calculated total energy: -44.65 eV per cell
* size of the total moment: 0.69 μB per formula unit
* theoretical density: 8.369 Mg/m³

a = 3.357 Å, b = 3.357 Å, c = 7.674 Å
α = 90.00°, β = 90.00°, γ = 90.00°
Fractional coordinates of all 5 atoms:
Ca1 0.000 0.000 0.000
W1 0.500 0.500 0.333
W2 0.500 0.500 0.667
N1 0.000 0.500 0.789
N2 0.500 0.000 0.211



Entry from Materials Project: a geometry-optimized SmMgVS4 structure (PBE).

* calculated total energy: -82.75 eV per cell
* size of the total moment: 2.00 μB per formula unit
* theoretical density: 3.716 Mg/m³

a = 7.630 Å, b = 7.630 Å, c = 7.584 Å
α = 119.75°, β = 119.75°, γ = 61.27°
Fractional coordinates of all 14 atoms:
Sm1 0.000 0.500 0.000
Sm2 0.500 0.000 0.000
Mg1 0.123 0.123 0.373
Mg2 0.877 0.877 0.627
V1 0.500 0.500 0.000
V2 0.500 0.500 0.500
S1 0.271 0.271 0.275
S2 0.271 0.271 0.766
S3 0.278 0.707 0.743
S4 0.293 0.722 0.257
S5 0.707 0.278 0.743
S6 0.722 0.293 0.257
S7 0.729 0.729 0.234
S8 0.729 0.729 0.725



Entry from Materials Project: a geometry-optimized Ca5Pt2N6 structure (PBE).

* calculated total energy: -153.74 eV per cell
* size of the total moment: 0.00 μB per formula unit
* theoretical density: 5.509 Mg/m³

a = 6.113 Å, b = 6.113 Å, c = 12.122 Å
α = 102.69°, β = 102.69°, γ = 68.67°
Fractional coordinates of all 26 atoms:
Ca1 0.115 0.885 0.750
Ca2 0.186 0.693 0.999
Ca3 0.208 0.461 0.269
Ca4 0.307 0.814 0.501
Ca5 0.461 0.208 0.769
Ca6 0.539 0.792 0.231
Ca7 0.693 0.186 0.499
Ca8 0.792 0.539 0.731
Ca9 0.814 0.307 0.001
Ca10 0.885 0.115 0.250
Pt1 0.208 0.321 0.543
Pt2 0.321 0.208 0.043
Pt3 0.679 0.792 0.957
Pt4 0.792 0.679 0.457
N1 0.080 0.176 0.629
N2 0.174 0.247 0.888
N3 0.176 0.080 0.129
N4 0.247 0.174 0.388
N5 0.407 0.504 0.625
N6 0.496 0.593 0.875
N7 0.504 0.407 0.125
N8 0.593 0.496 0.375
N9 0.753 0.826 0.612
N10 0.824 0.920 0.871
N11 0.826 0.753 0.112
N12 0.920 0.824 0.371



Entry from Materials Project: a geometry-optimized CeFe9Si4 structure (PBE).

* calculated total energy: -219.10 eV per cell
* size of the total moment: 10.11 μB per formula unit
* theoretical density: 7.157 Mg/m³

a = 7.979 Å, b = 7.979 Å, c = 7.979 Å
α = 121.54°, β = 121.54°, γ = 87.35°
Fractional coordinates of all 28 atoms:
Ce1 0.250 0.250 0.000
Ce2 0.750 0.750 0.000
Fe1 0.000 0.500 0.500
Fe2 0.055 0.555 0.252
Fe3 0.067 0.799 0.866
Fe4 0.197 0.945 0.500
Fe5 0.201 0.067 0.267
Fe6 0.299 0.567 0.866
Fe7 0.303 0.803 0.748
Fe8 0.433 0.299 0.733
Fe9 0.445 0.697 0.500
Fe10 0.500 0.000 0.500
Fe11 0.555 0.303 0.500
Fe12 0.567 0.701 0.267
Fe13 0.697 0.197 0.252
Fe14 0.701 0.433 0.134
Fe15 0.799 0.933 0.733
Fe16 0.803 0.055 0.500
Fe17 0.933 0.201 0.134
Fe18 0.945 0.445 0.748
Si1 0.050 0.208 0.500
Si2 0.208 0.708 0.157
Si3 0.292 0.450 0.500
Si4 0.450 0.950 0.157
Si5 0.550 0.050 0.843
Si6 0.708 0.550 0.500
Si7 0.792 0.292 0.843
Si8 0.950 0.792 0.500



Entry from Materials Project: a geometry-optimized Eu2MgS4 structure (PBE).

* calculated total energy: -196.66 eV per cell
* size of the total moment: 12.00 μB per formula unit
* polymorph energy (0 for the lowest one): 0.08 eV per formula unit
* theoretical density: 4.014 Mg/m³

a = 13.910 Å, b = 8.135 Å, c = 6.676 Å
α = 90.00°, β = 90.00°, γ = 90.00°
Fractional coordinates of all 28 atoms:
Eu1 0.000 0.000 0.000
Eu2 0.000 0.500 0.000
Eu3 0.232 0.250 0.499
Eu4 0.268 0.750 0.999
Eu5 0.500 0.000 0.500
Eu6 0.500 0.500 0.500
Eu7 0.732 0.250 0.001
Eu8 0.768 0.750 0.501
Mg1 0.093 0.750 0.574
Mg2 0.407 0.250 0.074
Mg3 0.593 0.750 0.926
Mg4 0.907 0.250 0.426
S1 0.067 0.250 0.256
S2 0.091 0.750 0.214
S3 0.167 0.516 0.751
S4 0.167 0.984 0.751
S5 0.333 0.016 0.251
S6 0.333 0.484 0.251
S7 0.409 0.250 0.714
S8 0.433 0.750 0.756
S9 0.567 0.250 0.244
S10 0.591 0.750 0.286
S11 0.667 0.516 0.749
S12 0.667 0.984 0.749
S13 0.833 0.016 0.249
S14 0.833 0.484 0.249
S15 0.909 0.250 0.786
S16 0.933 0.750 0.744



> Which of these has the lowest theoretical density?

K2CuMoCl6



Repeat the first record exactly.
Entry from Materials Project: a geometry-optimized FeCoSi structure (PBE).

* calculated total energy: -88.59 eV per cell
* size of the total moment: 2.40 μB per formula unit
* theoretical density: 7.208 Mg/m³

a = 4.887 Å, b = 3.781 Å, c = 7.126 Å
α = 90.00°, β = 90.00°, γ = 90.00°
Fractional coordinates of all 12 atoms:
Fe1 0.044 0.250 0.226
Fe2 0.456 0.750 0.726
Fe3 0.544 0.250 0.274
Fe4 0.956 0.750 0.774
Co1 0.178 0.250 0.564
Co2 0.322 0.750 0.064
Co3 0.678 0.250 0.936
Co4 0.822 0.750 0.436
Si1 0.208 0.250 0.894
Si2 0.292 0.750 0.394
Si3 0.708 0.250 0.606
Si4 0.792 0.750 0.106



Copy entry 3 word for word.
Entry from Materials Project: a geometry-optimized EuDyTi2O7 structure (PBE).

* calculated total energy: -199.93 eV per cell
* size of the total moment: 6.00 μB per formula unit
* theoretical density: 6.440 Mg/m³

a = 7.250 Å, b = 7.250 Å, c = 7.250 Å
α = 120.24°, β = 119.84°, γ = 89.93°
Fractional coordinates of all 22 atoms:
Eu1 0.500 0.000 0.000
Eu2 0.500 0.500 0.500
Dy1 0.000 0.000 0.000
Dy2 0.500 0.000 0.500
Ti1 0.000 0.000 0.500
Ti2 0.000 0.500 0.000
Ti3 0.000 0.500 0.500
Ti4 0.500 0.500 0.000
O1 0.075 0.419 0.247
O2 0.075 0.828 0.655
O3 0.079 0.829 0.250
O4 0.326 0.576 0.750
O5 0.327 0.172 0.747
O6 0.327 0.581 0.155
O7 0.369 0.119 0.250
O8 0.631 0.881 0.750
O9 0.673 0.419 0.845
O10 0.673 0.828 0.253
O11 0.674 0.424 0.250
O12 0.921 0.171 0.750
O13 0.925 0.172 0.345
O14 0.925 0.581 0.753



> The lowest theoretical density belongs to which entry?

K2CuMoCl6